## SiH12C4O4 (PBE)

Data for a geometry-optimized SiH12C4O4 structure.

a = 11.975 Å, b = 11.975 Å, c = 6.123 Å
α = 90.00°, β = 90.00°, γ = 90.00°
Space group I4_1/a (No. 88, origin choice 2)
Symmetry-distinct sites (fractional):
Si  0.000  0.250  0.125 x4
H  0.021  0.101  0.843 x16
H  0.059  0.389  0.413 x16
H  0.153  0.000  0.992 x16
C  0.080  0.147  0.946 x16
O  0.138  0.068  0.084 x16

Computed properties:
- corrected total energy (MP2020 scheme) (eV for the cell shown) = -461.00
- total energy (eV/atom) = -5.357
- total magnetic moment (μB/f.u.) = 0.0

---

## LuPO4 (PBE)

Data for a geometry-optimized LuPO4 structure.

a = 4.779 Å, b = 4.779 Å, c = 11.048 Å
α = 90.00°, β = 90.00°, γ = 90.00°
Space group I4_1/a (No. 88, origin choice 2)
Symmetry-distinct sites (fractional):
Lu  0.000  0.250  0.125 x4
P  0.000  0.250  0.625 x4
O  0.132  0.006  0.699 x16

Computed properties:
- corrected total energy (MP2020 scheme) (eV for the cell shown) = -200.99
- total energy (eV/atom) = -7.917
- total magnetic moment (μB/f.u.) = 0.0
- distance to the lowest polymorph of the same formula (meV per atom) = 100